# 1
FeAs2H3OF13 | GGA+U | relaxed

POSCAR file:
```
FeAs2H3OF13
1.0
14.306 0.000 0.000
0.000 7.312 0.000
0.000 0.000 10.638
Fe As H O F
4 8 12 4 52
direct
0.000 0.000 0.000 Fe
0.000 0.500 0.000 Fe
0.500 0.000 0.500 Fe
0.500 0.500 0.500 Fe
0.103 0.250 0.272 As
0.136 0.250 0.754 As
0.364 0.750 0.254 As
0.397 0.750 0.772 As
0.603 0.250 0.228 As
0.636 0.250 0.746 As
0.864 0.750 0.246 As
0.897 0.750 0.728 As
0.105 0.638 0.491 H
0.105 0.862 0.491 H
0.190 0.750 0.427 H
0.310 0.250 0.927 H
0.395 0.138 0.991 H
0.395 0.362 0.991 H
0.605 0.638 0.009 H
0.605 0.862 0.009 H
0.690 0.750 0.073 H
0.810 0.250 0.573 H
0.895 0.138 0.509 H
0.895 0.362 0.509 H
0.142 0.750 0.499 O
0.358 0.250 0.999 O
0.642 0.750 0.001 O
0.858 0.250 0.501 O
0.018 0.250 0.711 F
0.020 0.750 0.726 F
0.048 0.750 0.007 F
0.100 0.077 0.150 F
0.100 0.423 0.150 F
0.103 0.077 0.389 F
0.103 0.423 0.389 F
0.113 0.080 0.874 F
0.113 0.420 0.874 F
0.164 0.077 0.649 F
0.164 0.423 0.649 F
0.224 0.250 0.264 F
0.244 0.750 0.308 F
0.256 0.250 0.808 F
0.276 0.750 0.764 F
0.336 0.577 0.149 F
0.336 0.923 0.149 F
0.387 0.580 0.374 F
0.387 0.920 0.374 F
0.397 0.577 0.889 F
0.397 0.923 0.889 F
0.400 0.577 0.650 F
0.400 0.923 0.650 F
0.452 0.250 0.507 F
0.480 0.250 0.226 F
0.482 0.750 0.211 F
0.518 0.250 0.789 F
0.520 0.750 0.774 F
0.548 0.750 0.493 F
0.600 0.077 0.350 F
0.600 0.423 0.350 F
0.603 0.077 0.111 F
0.603 0.423 0.111 F
0.613 0.080 0.626 F
0.613 0.420 0.626 F
0.664 0.077 0.851 F
0.664 0.423 0.851 F
0.724 0.250 0.236 F
0.744 0.750 0.192 F
0.756 0.250 0.692 F
0.776 0.750 0.736 F
0.836 0.577 0.351 F
0.836 0.923 0.351 F
0.887 0.580 0.126 F
0.887 0.920 0.126 F
0.897 0.577 0.611 F
0.897 0.923 0.611 F
0.900 0.577 0.850 F
0.900 0.923 0.850 F
0.952 0.250 0.993 F
0.980 0.250 0.274 F
0.982 0.750 0.289 F
```

**MP2020-corrected energy**: -410.40 eV/cell
**Energy of formation from the pure elements**: -44.8 eV per formula unit
**Total magnetization**: 4.0 μB/f.u.

# 2
Ba4La4Co8O17 | GGA+U | relaxed

POSCAR file:
```
Ba4La4Co8O17
1.0
7.983 0.000 0.000
0.000 15.595 0.000
-0.002 0.000 16.327
Ba La Co O
16 16 32 68
direct
0.000 0.000 0.000 Ba
0.000 0.000 0.500 Ba
0.000 0.500 0.000 Ba
0.000 0.500 0.500 Ba
0.006 0.007 0.250 Ba
0.006 0.493 0.750 Ba
0.493 0.504 0.750 Ba
0.493 0.996 0.250 Ba
0.500 0.000 0.000 Ba
0.500 0.000 0.500 Ba
0.500 0.500 0.000 Ba
0.500 0.500 0.500 Ba
0.507 0.004 0.750 Ba
0.507 0.496 0.250 Ba
0.994 0.507 0.250 Ba
0.994 0.993 0.750 Ba
0.001 0.739 0.494 La
0.001 0.761 0.994 La
0.005 0.746 0.756 La
0.005 0.754 0.256 La
0.496 0.248 0.256 La
0.496 0.252 0.756 La
0.500 0.239 0.994 La
0.500 0.261 0.494 La
0.500 0.739 0.506 La
0.500 0.761 0.006 La
0.504 0.748 0.244 La
0.504 0.752 0.744 La
0.995 0.246 0.744 La
0.995 0.254 0.244 La
0.999 0.239 0.006 La
0.999 0.261 0.506 La
0.236 0.123 0.622 Co
0.236 0.377 0.122 Co
0.237 0.627 0.881 Co
0.237 0.873 0.381 Co
0.247 0.135 0.871 Co
0.247 0.365 0.371 Co
0.250 0.126 0.125 Co
0.250 0.374 0.625 Co
0.250 0.625 0.627 Co
0.250 0.875 0.127 Co
0.254 0.638 0.372 Co
0.254 0.862 0.872 Co
0.263 0.126 0.381 Co
0.263 0.374 0.881 Co
0.264 0.624 0.121 Co
0.264 0.876 0.621 Co
0.736 0.124 0.379 Co
0.736 0.376 0.879 Co
0.737 0.626 0.119 Co
0.737 0.874 0.619 Co
0.746 0.138 0.128 Co
0.746 0.362 0.628 Co
0.750 0.125 0.873 Co
0.750 0.375 0.373 Co
0.750 0.626 0.375 Co
0.750 0.874 0.875 Co
0.753 0.635 0.629 Co
0.753 0.865 0.129 Co
0.763 0.127 0.619 Co
0.763 0.373 0.119 Co
0.764 0.623 0.878 Co
0.764 0.877 0.378 Co
0.001 0.646 0.376 O
0.001 0.854 0.876 O
0.002 0.162 0.624 O
0.002 0.338 0.124 O
0.002 0.658 0.632 O
0.002 0.842 0.132 O
0.217 0.153 0.266 O
0.217 0.347 0.766 O
0.225 0.648 0.240 O
0.225 0.852 0.740 O
0.246 0.657 0.002 O
0.246 0.843 0.502 O
0.249 0.000 0.380 O
0.249 0.001 0.134 O
0.249 0.140 0.997 O
0.249 0.360 0.497 O
0.249 0.499 0.634 O
0.249 0.500 0.880 O
0.252 0.000 0.618 O
0.252 0.157 0.502 O
0.252 0.343 0.002 O
0.252 0.500 0.118 O
0.252 0.640 0.498 O
0.252 0.860 0.998 O
0.275 0.146 0.741 O
0.275 0.354 0.241 O
0.283 0.651 0.765 O
0.283 0.849 0.265 O
0.497 0.159 0.132 O
0.497 0.341 0.632 O
0.499 0.147 0.876 O
0.499 0.353 0.376 O
0.499 0.663 0.124 O
0.499 0.837 0.624 O
0.501 0.163 0.376 O
0.501 0.337 0.876 O
0.501 0.647 0.624 O
0.501 0.853 0.124 O
0.503 0.659 0.368 O
0.503 0.841 0.868 O
0.717 0.151 0.735 O
0.717 0.349 0.235 O
0.725 0.646 0.759 O
0.725 0.854 0.259 O
0.748 0.000 0.382 O
0.748 0.140 0.002 O
0.748 0.360 0.502 O
0.748 0.500 0.882 O
0.748 0.657 0.998 O
0.748 0.843 0.498 O
0.751 0.000 0.620 O
0.751 0.500 0.120 O
0.751 0.501 0.366 O
0.751 0.640 0.503 O
0.751 0.860 0.003 O
0.751 0.999 0.866 O
0.754 0.157 0.498 O
0.754 0.343 0.998 O
0.775 0.148 0.260 O
0.775 0.352 0.760 O
0.783 0.653 0.234 O
0.783 0.847 0.734 O
0.998 0.158 0.868 O
0.998 0.342 0.368 O
0.998 0.662 0.876 O
0.998 0.838 0.376 O
0.999 0.146 0.124 O
0.999 0.354 0.624 O
```

**MP2020-corrected energy**: -975.87 eV/cell
**Energy of formation from the pure elements**: -75.6 eV per formula unit
**Total magnetization**: 22.3 μB/f.u.

# 3
Li4Ti3Co3O12 | GGA+U | relaxed

POSCAR file:
```
Li4Ti3Co3O12
1.0
6.071 0.000 0.000
1.687 7.751 0.000
1.330 0.965 9.662
Li Ti Co O
8 6 6 24
direct
0.000 0.000 0.000 Li
0.002 0.750 0.249 Li
0.004 0.501 0.497 Li
0.012 0.254 0.746 Li
0.320 0.434 0.233 Li
0.327 0.938 0.730 Li
0.678 0.065 0.270 Li
0.683 0.571 0.763 Li
0.188 0.087 0.255 Ti
0.191 0.587 0.755 Ti
0.506 0.746 0.251 Ti
0.515 0.248 0.756 Ti
0.818 0.405 0.241 Ti
0.823 0.906 0.742 Ti
0.165 0.334 0.999 Co
0.167 0.834 0.498 Co
0.500 0.000 0.000 Co
0.500 0.500 0.500 Co
0.838 0.170 0.501 Co
0.838 0.670 0.000 Co
0.043 0.534 0.125 O
0.047 0.036 0.625 O
0.064 0.293 0.363 O
0.065 0.794 0.864 O
0.259 0.893 0.139 O
0.262 0.396 0.639 O
0.265 0.640 0.369 O
0.269 0.142 0.869 O
0.375 0.216 0.126 O
0.377 0.718 0.626 O
0.411 0.950 0.362 O
0.415 0.453 0.862 O
0.588 0.551 0.139 O
0.593 0.054 0.640 O
0.624 0.286 0.374 O
0.625 0.789 0.874 O
0.734 0.862 0.132 O
0.737 0.364 0.632 O
0.738 0.610 0.362 O
0.742 0.111 0.864 O
0.933 0.210 0.134 O
0.934 0.711 0.635 O
0.957 0.969 0.375 O
0.959 0.470 0.874 O
```

**MP2020-corrected energy**: -330.97 eV/cell
**Energy of formation from the pure elements**: -53.5 eV per formula unit
**Total magnetization**: 0.0 μB/f.u.

# 4
Li2FeSi4O11 | GGA+U | relaxed

POSCAR file:
```
Li2FeSi4O11
1.0
5.433 -4.841 0.000
5.433 4.841 0.000
-1.737 0.000 8.109
Li Fe Si O
4 2 8 22
direct
0.080 0.920 0.750 Li
0.351 0.649 0.750 Li
0.649 0.351 0.250 Li
0.920 0.080 0.250 Li
0.000 0.500 0.500 Fe
0.500 0.000 0.000 Fe
0.158 0.747 0.065 Si
0.219 0.342 0.159 Si
0.253 0.842 0.435 Si
0.342 0.219 0.659 Si
0.658 0.781 0.341 Si
0.747 0.158 0.565 Si
0.781 0.658 0.841 Si
0.842 0.253 0.935 Si
0.057 0.242 0.026 O
0.134 0.866 0.250 O
0.152 0.378 0.339 O
0.160 0.730 0.551 O
0.206 0.412 0.676 O
0.242 0.057 0.526 O
0.250 0.537 0.092 O
0.270 0.840 0.949 O
0.378 0.152 0.839 O
0.412 0.206 0.176 O
0.463 0.750 0.408 O
0.537 0.250 0.592 O
0.588 0.794 0.824 O
0.622 0.848 0.161 O
0.730 0.160 0.051 O
0.750 0.463 0.908 O
0.758 0.943 0.474 O
0.794 0.588 0.324 O
0.840 0.270 0.449 O
0.848 0.622 0.661 O
0.866 0.134 0.750 O
0.943 0.758 0.974 O
```

**MP2020-corrected energy**: -275.55 eV/cell
**Relative energy among the computed polymorphs**: 9 meV per atom
**Energy of formation from the pure elements**: -49.4 eV per formula unit
**Total magnetization**: 4.0 μB/f.u.